Entry 1:
Mo3P | PBE | relaxed

Properties
**Crystal system**: tetragonal

```
Mo3P
1.0
2.042 3.967 5.876
-5.477 -4.284 -2.468
4.890 -5.439 0.971
Mo P
12 4
Direct
0.470 0.068 0.000
0.000 0.645 0.645
0.645 0.000 0.645
0.139 0.139 0.815
0.675 0.861 0.000
0.861 0.675 0.000
0.325 0.325 0.185
0.000 0.355 0.355
0.530 0.530 0.598
0.068 0.470 0.000
0.932 0.932 0.402
0.355 0.000 0.355
0.500 0.208 0.708
0.792 0.500 0.292
0.208 0.500 0.708
0.500 0.792 0.292
```



Entry 2:
MoP | PBE | relaxed

Properties
**Crystal system**: hexagonal

```
MoP
1.0
1.622 -2.810 0.000
1.622 2.810 0.000
0.000 0.000 3.201
Mo P
1 1
Direct
0.667 0.333 0.000
0.000 0.000 0.500
```



Entry 3:
Mo3P | PBE | relaxed

Properties
**Crystal system**: tetragonal

```
Mo3P
1.0
0.000 0.000 -4.848
-4.929 -4.929 -2.424
-4.929 4.929 -2.424
Mo P
12 4
Direct
0.067 0.404 0.997
0.139 0.003 0.185
0.646 0.357 0.355
0.677 0.185 0.997
0.467 0.596 0.003
0.529 0.003 0.404
0.999 0.355 0.643
0.858 0.815 0.003
0.326 0.997 0.815
0.937 0.997 0.596
0.997 0.645 0.357
0.357 0.643 0.645
0.793 0.705 0.712
0.211 0.295 0.288
0.495 0.712 0.295
0.501 0.288 0.705
```



Entry 4:
MoP2 | PBE | relaxed

Properties
**Crystal system**: orthorhombic

```
MoP2
1.0
1.579 -5.625 0.000
1.579 5.625 0.000
0.000 0.000 5.011
P Mo
4 2
Direct
0.570 0.430 0.120
0.702 0.298 0.804
0.298 0.702 0.304
0.430 0.570 0.620
0.906 0.094 0.002
0.094 0.906 0.502
```



Entry 5:
MoP2 | PBE | relaxed

Properties
**Crystal system**: hexagonal

```
MoP2
1.0
2.983 0.000 0.000
-1.492 2.583 0.000
0.000 0.000 15.335
P Mo
2 1
Direct
0.333 0.667 0.132
0.333 0.667 0.368
0.000 0.000 0.250
```



Entry 6:
MoPRh | PBE | relaxed

Properties
**Crystal system**: orthorhombic

```
MoPRh
1.0
-1.599 -3.594 0.317
2.959 -0.862 5.143
-5.418 2.725 3.574
Mo Rh P
4 4 4
Direct
0.250 0.032 0.164
0.750 0.468 0.664
0.250 0.532 0.336
0.750 0.968 0.836
0.750 0.362 0.073
0.250 0.638 0.927
0.250 0.138 0.573
0.750 0.862 0.427
0.750 0.752 0.114
0.250 0.248 0.886
0.250 0.748 0.614
0.750 0.252 0.386
```



| no. | energy relative to the elements (eV/atom) |
| --- | --- |
| 1 | -0.35 |
| 2 | -0.66 |
| 3 | -0.35 |
| 4 | -0.52 |
| 5 | 0.05 |
| 6 | -0.59 |